Entry P
The following is a PBE calculation of a geometry-optimized Tm2Te5O13 structure, from the Materials Project.

a = 6.9512 Å, b = 8.7357 Å, c = 10.6956 Å
α = 89.00°, β = 87.12°, γ = 74.73°
Fractional coordinates of all 40 atoms:
Tm: 0.9999 0.2401 0.2400
Tm: 0.0001 0.7599 0.7600
Tm: 0.4479 0.9708 0.8203
Tm: 0.5521 0.0292 0.1797
Te: 0.1238 0.8515 0.1074
Te: 0.1575 0.3030 0.6406
Te: 0.2726 0.8942 0.4870
Te: 0.2900 0.3760 0.9761
Te: 0.4389 0.4028 0.3007
Te: 0.5611 0.5972 0.6993
Te: 0.7100 0.6240 0.0239
Te: 0.7274 0.1058 0.5130
Te: 0.8425 0.6970 0.3594
Te: 0.8762 0.1485 0.8926
O: 0.0424 0.8503 0.5675
O: 0.0562 0.3196 0.0407
O: 0.0663 0.5177 0.6892
O: 0.0670 0.7654 0.2779
O: 0.1278 0.9906 0.8953
O: 0.2344 0.9989 0.1875
O: 0.3141 0.2359 0.2847
O: 0.3251 0.7267 0.7772
O: 0.3334 0.2382 0.7736
O: 0.3395 0.0123 0.6189
O: 0.3489 0.4848 0.1235
O: 0.4628 0.6926 0.5189
O: 0.4680 0.1693 0.0007
O: 0.5320 0.8307 0.9993
O: 0.5372 0.3074 0.4811
O: 0.6511 0.5152 0.8765
O: 0.6605 0.9877 0.3811
O: 0.6666 0.7618 0.2264
O: 0.6749 0.2733 0.2228
O: 0.6859 0.7641 0.7153
O: 0.7656 0.0011 0.8125
O: 0.8722 0.0094 0.1047
O: 0.9330 0.2346 0.7221
O: 0.9337 0.4823 0.3108
O: 0.9438 0.6804 0.9593
O: 0.9576 0.1497 0.4325

---

Entry Q
The following is a PBE calculation of a geometry-optimized Tm2Te5O13 structure, from the Materials Project.

Values from the calculation:
* magnetization: 0.00 μB per cell

a = 6.9512 Å, b = 8.7357 Å, c = 10.6956 Å
α = 89.00°, β = 87.12°, γ = 74.73°
Fractional coordinates of all 40 atoms:
Tm: 0.0000 0.0000 0.0000
Tm: 0.0017 0.4760 0.4870
Tm: 0.4358 0.2104 0.0670
Tm: 0.5460 0.2619 0.4197
Te: 0.1141 0.0925 0.3617
Te: 0.1510 0.5431 0.8918
Te: 0.2648 0.1279 0.7425
Te: 0.2931 0.6144 0.2223
Te: 0.4468 0.6360 0.5433
Te: 0.5582 0.8391 0.9492
Te: 0.7065 0.8671 0.2736
Te: 0.7160 0.3464 0.7603
Te: 0.8366 0.9236 0.5995
Te: 0.8790 0.3829 0.1355
O: 0.0331 0.0932 0.8126
O: 0.0491 0.5460 0.2881
O: 0.0578 0.0063 0.5259
O: 0.0689 0.7449 0.9344
O: 0.1238 0.2194 0.1340
O: 0.2225 0.2428 0.4291
O: 0.3153 0.4651 0.5277
O: 0.3274 0.9584 0.0285
O: 0.3367 0.2466 0.8685
O: 0.3375 0.4736 0.0240
O: 0.3396 0.7238 0.3718
O: 0.4570 0.9283 0.7665
O: 0.4619 0.4128 0.2428
O: 0.5191 0.0610 0.2482
O: 0.5362 0.5428 0.7304
O: 0.6427 0.7461 0.1210
O: 0.6476 0.2210 0.6273
O: 0.6576 0.9933 0.4696
O: 0.6714 0.5091 0.4730
O: 0.6810 0.0016 0.9677
O: 0.7546 0.2441 0.0650
O: 0.8741 0.2421 0.3490
O: 0.9193 0.4653 0.9643
O: 0.9303 0.7120 0.5521
O: 0.9385 0.9074 0.2103
O: 0.9547 0.3885 0.6721

---

Most stable structure: entry P

---

Entry P
The following is a PBE calculation of a geometry-optimized ZnTe2O5 structure, from the Materials Project.

Values from the calculation:
* magnetization: 0.00 μB per cell

a = 8.8103 Å, b = 8.8103 Å, c = 12.9312 Å
α = 90.00°, β = 90.00°, γ = 90.00°
Fractional coordinates of all 64 atoms:
Zn: 0.2500 0.2500 0.0000
Zn: 0.2500 0.2500 0.2500
Zn: 0.2500 0.2500 0.5000
Zn: 0.2500 0.2500 0.7500
Zn: 0.7500 0.7500 0.0000
Zn: 0.7500 0.7500 0.2500
Zn: 0.7500 0.7500 0.5000
Zn: 0.7500 0.7500 0.7500
Te: 0.0367 0.5687 0.1161
Te: 0.0367 0.9313 0.8839
Te: 0.0687 0.5367 0.6161
Te: 0.0687 0.9633 0.3839
Te: 0.4313 0.5367 0.3839
Te: 0.4313 0.9633 0.6161
Te: 0.4633 0.5687 0.8839
Te: 0.4633 0.9313 0.1161
Te: 0.5367 0.0687 0.8839
Te: 0.5367 0.4313 0.1161
Te: 0.5687 0.0367 0.3839
Te: 0.5687 0.4633 0.6161
Te: 0.9313 0.0367 0.6161
Te: 0.9313 0.4633 0.3839
Te: 0.9633 0.0687 0.1161
Te: 0.9633 0.4313 0.8839
O: 0.0192 0.1252 0.9519
O: 0.0192 0.3748 0.0481
O: 0.0513 0.0513 0.7500
O: 0.0513 0.4487 0.2500
O: 0.1087 0.1761 0.3668
O: 0.1087 0.3239 0.6332
O: 0.1252 0.0192 0.5481
O: 0.1252 0.4808 0.4519
O: 0.1761 0.1087 0.1332
O: 0.1761 0.3913 0.8668
O: 0.3239 0.1087 0.8668
O: 0.3239 0.3913 0.1332
O: 0.3748 0.0192 0.4519
O: 0.3748 0.4808 0.5481
O: 0.3913 0.1761 0.6332
O: 0.3913 0.3239 0.3668
O: 0.4487 0.0513 0.2500
O: 0.4487 0.4487 0.7500
O: 0.4808 0.1252 0.0481
O: 0.4808 0.3748 0.9519
O: 0.5192 0.6252 0.0481
O: 0.5192 0.8748 0.9519
O: 0.5513 0.5513 0.2500
O: 0.5513 0.9487 0.7500
O: 0.6087 0.6761 0.6332
O: 0.6087 0.8239 0.3668
O: 0.6252 0.5192 0.4519
O: 0.6252 0.9808 0.5481
O: 0.6761 0.6087 0.8668
O: 0.6761 0.8913 0.1332
O: 0.8239 0.6087 0.1332
O: 0.8239 0.8913 0.8668
O: 0.8748 0.5192 0.5481
O: 0.8748 0.9808 0.4519
O: 0.8913 0.6761 0.3668
O: 0.8913 0.8239 0.6332
O: 0.9487 0.5513 0.7500
O: 0.9487 0.9487 0.2500
O: 0.9808 0.6252 0.9519
O: 0.9808 0.8748 0.0481

---

Entry Q
The following is a PBE calculation of a geometry-optimized ZnTe2O5 structure, from the Materials Project.

Values from the calculation:
* magnetization: 0.01 μB per cell

a = 9.1125 Å, b = 12.3594 Å, c = 8.6533 Å
α = 90.00°, β = 90.00°, γ = 90.00°
Fractional coordinates of all 64 atoms:
Zn: 0.0148 0.1230 0.0184
Zn: 0.0148 0.3770 0.0184
Zn: 0.4852 0.6230 0.5184
Zn: 0.4852 0.8770 0.5184
Zn: 0.5148 0.1230 0.4816
Zn: 0.5148 0.3770 0.4816
Zn: 0.9852 0.6230 0.9816
Zn: 0.9852 0.8770 0.9816
Te: 0.1048 0.2500 0.6986
Te: 0.1495 0.5146 0.3386
Te: 0.1495 0.9854 0.3386
Te: 0.1667 0.7500 0.6822
Te: 0.3333 0.2500 0.1822
Te: 0.3505 0.0146 0.8386
Te: 0.3505 0.4854 0.8386
Te: 0.3952 0.7500 0.1986
Te: 0.6048 0.2500 0.8014
Te: 0.6495 0.5146 0.1614
Te: 0.6495 0.9854 0.1614
Te: 0.6667 0.7500 0.8178
Te: 0.8333 0.2500 0.3178
Te: 0.8505 0.0146 0.6614
Te: 0.8505 0.4854 0.6614
Te: 0.8952 0.7500 0.3014
O: 0.0083 0.6277 0.4067
O: 0.0083 0.8723 0.4067
O: 0.0315 0.7500 0.1335
O: 0.1180 0.5122 0.1204
O: 0.1180 0.9878 0.1204
O: 0.1237 0.2500 0.1580
O: 0.1561 0.6305 0.8223
O: 0.1561 0.8695 0.8223
O: 0.1915 0.1142 0.8497
O: 0.1915 0.3858 0.8497
O: 0.3085 0.6142 0.3497
O: 0.3085 0.8858 0.3497
O: 0.3439 0.1305 0.3223
O: 0.3439 0.3695 0.3223
O: 0.3763 0.7500 0.6580
O: 0.3820 0.0122 0.6204
O: 0.3820 0.4878 0.6204
O: 0.4685 0.2500 0.6335
O: 0.4917 0.1277 0.9067
O: 0.4917 0.3723 0.9067
O: 0.5083 0.6277 0.0933
O: 0.5083 0.8723 0.0933
O: 0.5315 0.7500 0.3665
O: 0.6180 0.5122 0.3796
O: 0.6180 0.9878 0.3796
O: 0.6237 0.2500 0.3420
O: 0.6561 0.6305 0.6777
O: 0.6561 0.8695 0.6777
O: 0.6915 0.1142 0.6503
O: 0.6915 0.3858 0.6503
O: 0.8085 0.6142 0.1503
O: 0.8085 0.8858 0.1503
O: 0.8439 0.1305 0.1777
O: 0.8439 0.3695 0.1777
O: 0.8763 0.7500 0.8420
O: 0.8820 0.0122 0.8796
O: 0.8820 0.4878 0.8796
O: 0.9685 0.2500 0.8665
O: 0.9917 0.1277 0.5933
O: 0.9917 0.3723 0.5933

---

Most stable structure: entry Q